[1]
# SiO2 | the Materials Project | PBE | relaxed
data_SiO2
_chemical_formula_sum 'Si6 O12'
_space_group_name_H-M_alt 'P 1'
_space_group_IT_number 1
_cell_length_a 7.486
_cell_length_b 7.486
_cell_length_c 8.937
_cell_angle_alpha 53.68
_cell_angle_beta 53.68
_cell_angle_gamma 39.30
loop_
_space_group_symop_operation_xyz
'x,y,z'
loop_
_atom_site_label
_atom_site_type_symbol
_atom_site_fract_x
_atom_site_fract_y
_atom_site_fract_z
Si1 Si 0.067 0.599 0.659
Si2 Si 0.401 0.933 0.841
Si3 Si 0.933 0.401 0.341
Si4 Si 0.599 0.067 0.159
Si5 Si 0.979 0.021 0.250
Si6 Si 0.021 0.979 0.750
O1 O 0.862 0.281 0.298
O2 O 0.719 0.138 0.202
O3 O 0.138 0.719 0.702
O4 O 0.281 0.862 0.798
O5 O 0.069 0.734 0.434
O6 O 0.266 0.931 0.066
O7 O 0.679 0.754 0.300
O8 O 0.246 0.321 0.200
O9 O 0.321 0.246 0.700
O10 O 0.754 0.679 0.800
O11 O 0.734 0.069 0.934
O12 O 0.931 0.266 0.566
# Symmetry: C2/c (15)
# Crystal system: monoclinic

***

[2]
# LuSn2 | the Materials Project | PBE | relaxed
data_LuSn2
_chemical_formula_sum 'Lu2 Sn4'
_space_group_name_H-M_alt 'P 1'
_space_group_IT_number 1
_cell_length_a 8.356
_cell_length_b 8.356
_cell_length_c 4.336
_cell_angle_alpha 90.00
_cell_angle_beta 90.00
_cell_angle_gamma 149.59
loop_
_space_group_symop_operation_xyz
'x,y,z'
loop_
_atom_site_label
_atom_site_type_symbol
_atom_site_fract_x
_atom_site_fract_y
_atom_site_fract_z
Lu1 Lu 0.901 0.099 0.750
Lu2 Lu 0.099 0.901 0.250
Sn1 Sn 0.565 0.435 0.750
Sn2 Sn 0.435 0.565 0.250
Sn3 Sn 0.250 0.750 0.750
Sn4 Sn 0.750 0.250 0.250
# Symmetry: Cmcm (63)
# Crystal system: orthorhombic

***

[3]
# EuPH5CO7 | the Materials Project | PBE | relaxed
data_EuPH5CO7
_chemical_formula_sum 'Eu2 P2 H10 C2 O14'
_space_group_name_H-M_alt 'P 1'
_space_group_IT_number 1
_cell_length_a 6.705
_cell_length_b 7.086
_cell_length_c 7.923
_cell_angle_alpha 111.32
_cell_angle_beta 96.30
_cell_angle_gamma 90.16
loop_
_space_group_symop_operation_xyz
'x,y,z'
loop_
_atom_site_label
_atom_site_type_symbol
_atom_site_fract_x
_atom_site_fract_y
_atom_site_fract_z
Eu1 Eu 0.869 0.778 0.063
Eu2 Eu 0.131 0.222 0.937
P1 P 0.675 0.250 0.018
P2 P 0.325 0.750 0.982
H1 H 0.488 0.884 0.590
H2 H 0.165 0.521 0.327
H3 H 0.719 0.668 0.643
H4 H 0.519 0.741 0.394
H5 H 0.512 0.116 0.410
H6 H 0.835 0.479 0.673
H7 H 0.481 0.259 0.606
H8 H 0.628 0.287 0.196
H9 H 0.372 0.713 0.804
H10 H 0.281 0.332 0.357
C1 C 0.940 0.093 0.498
C2 C 0.060 0.907 0.502
O1 O 0.523 0.776 0.106
O2 O 0.054 0.757 0.353
O3 O 0.800 0.058 0.960
O4 O 0.413 0.201 0.481
O5 O 0.846 0.078 0.347
O6 O 0.946 0.243 0.647
O7 O 0.817 0.426 0.026
O8 O 0.200 0.942 0.040
O9 O 0.587 0.799 0.519
O10 O 0.183 0.574 0.974
O11 O 0.477 0.224 0.894
O12 O 0.217 0.385 0.266
O13 O 0.783 0.615 0.734
O14 O 0.154 0.922 0.653
# Symmetry: P-1 (2)
# Crystal system: triclinic

***

[4]
# SrIn4Pt | the Materials Project | PBE | relaxed
data_SrIn4Pt
_chemical_formula_sum 'Sr2 In8 Pt2'
_space_group_name_H-M_alt 'P 1'
_space_group_IT_number 1
_cell_length_a 8.959
_cell_length_b 8.959
_cell_length_c 7.623
_cell_angle_alpha 90.00
_cell_angle_beta 90.00
_cell_angle_gamma 150.17
loop_
_space_group_symop_operation_xyz
'x,y,z'
loop_
_atom_site_label
_atom_site_type_symbol
_atom_site_fract_x
_atom_site_fract_y
_atom_site_fract_z
Sr1 Sr 0.126 0.874 0.750
Sr2 Sr 0.874 0.126 0.250
In1 In 0.315 0.685 0.950
In2 In 0.500 0.500 0.500
In3 In 0.685 0.315 0.450
In4 In 0.685 0.315 0.050
In5 In 0.315 0.685 0.550
In6 In 0.067 0.933 0.250
In7 In 0.933 0.067 0.750
In8 In 0.500 0.500 0.000
Pt1 Pt 0.775 0.225 0.750
Pt2 Pt 0.225 0.775 0.250
# Symmetry: Cmcm (63)
# Crystal system: orthorhombic

***

[5]
# GdNbO4 | the Materials Project | PBE | relaxed
data_GdNbO4
_chemical_formula_sum 'Gd2 Nb2 O8'
_space_group_name_H-M_alt 'P 1'
_space_group_IT_number 1
_cell_length_a 6.681
_cell_length_b 6.681
_cell_length_c 5.171
_cell_angle_alpha 69.10
_cell_angle_beta 69.10
_cell_angle_gamma 114.78
loop_
_space_group_symop_operation_xyz
'x,y,z'
loop_
_atom_site_label
_atom_site_type_symbol
_atom_site_fract_x
_atom_site_fract_y
_atom_site_fract_z
Gd1 Gd 0.629 0.371 0.750
Gd2 Gd 0.371 0.629 0.250
Nb1 Nb 0.106 0.894 0.750
Nb2 Nb 0.894 0.106 0.250
O1 O 0.786 0.722 0.202
O2 O 0.278 0.214 0.298
O3 O 0.214 0.278 0.798
O4 O 0.722 0.786 0.702
O5 O 0.366 0.948 0.840
O6 O 0.052 0.634 0.660
O7 O 0.634 0.052 0.160
O8 O 0.948 0.366 0.340
# Symmetry: C2/c (15)
# Crystal system: monoclinic

***

[6]
# ThSc | the Materials Project | PBE | relaxed
data_ThSc
_chemical_formula_sum 'Th1 Sc1'
_space_group_name_H-M_alt 'P 1'
_space_group_IT_number 1
_cell_length_a 5.828
_cell_length_b 5.828
_cell_length_c 5.828
_cell_angle_alpha 34.55
_cell_angle_beta 34.55
_cell_angle_gamma 34.55
loop_
_space_group_symop_operation_xyz
'x,y,z'
loop_
_atom_site_label
_atom_site_type_symbol
_atom_site_fract_x
_atom_site_fract_y
_atom_site_fract_z
Th1 Th 0.500 0.500 0.500
Sc1 Sc 0.000 0.000 0.000
# Symmetry: R-3m (166)
# Crystal system: trigonal

***

[7]
# BaH2Cl2 | the Materials Project | PBE | relaxed
data_BaH2Cl2
_chemical_formula_sum 'Ba4 H8 Cl8'
_space_group_name_H-M_alt 'P 1'
_space_group_IT_number 1
_cell_length_a 8.596
_cell_length_b 7.162
_cell_length_c 10.713
_cell_angle_alpha 49.07
_cell_angle_beta 90.00
_cell_angle_gamma 90.00
loop_
_space_group_symop_operation_xyz
'x,y,z'
loop_
_atom_site_label
_atom_site_type_symbol
_atom_site_fract_x
_atom_site_fract_y
_atom_site_fract_z
Ba1 Ba 0.249 0.844 0.154
Ba2 Ba 0.751 0.156 0.846
Ba3 Ba 0.749 0.156 0.346
Ba4 Ba 0.251 0.844 0.654
H1 H 0.887 0.613 0.021
H2 H 0.113 0.387 0.979
H3 H 0.387 0.387 0.479
H4 H 0.613 0.613 0.521
H5 H 0.392 0.656 0.000
H6 H 0.608 0.344 0.000
H7 H 0.892 0.344 0.500
H8 H 0.108 0.656 0.500
Cl1 Cl 0.921 0.040 0.149
Cl2 Cl 0.079 0.960 0.851
Cl3 Cl 0.421 0.960 0.351
Cl4 Cl 0.579 0.040 0.649
Cl5 Cl 0.584 0.667 0.147
Cl6 Cl 0.416 0.333 0.853
Cl7 Cl 0.084 0.333 0.353
Cl8 Cl 0.916 0.667 0.647
# Symmetry: P2_1/c (14)
# Crystal system: monoclinic

***

[8]
# Li2Mg | the Materials Project | PBE | relaxed
data_Li2Mg
_chemical_formula_sum 'Li4 Mg2'
_space_group_name_H-M_alt 'P 1'
_space_group_IT_number 1
_cell_length_a 5.315
_cell_length_b 5.315
_cell_length_c 5.023
_cell_angle_alpha 90.00
_cell_angle_beta 90.00
_cell_angle_gamma 120.00
loop_
_space_group_symop_operation_xyz
'x,y,z'
loop_
_atom_site_label
_atom_site_type_symbol
_atom_site_fract_x
_atom_site_fract_y
_atom_site_fract_z
Li1 Li 0.667 0.000 0.000
Li2 Li 0.333 0.333 0.000
Li3 Li 0.000 0.667 0.000
Li4 Li 0.000 0.000 0.500
Mg1 Mg 0.667 0.333 0.500
Mg2 Mg 0.333 0.667 0.500
# Symmetry: P-62m (189)
# Crystal system: hexagonal

***

[9]
# K2Na2Nd2MgNb2O10 | the Materials Project | PBE | relaxed
data_K2Na2Nd2MgNb2O10
_chemical_formula_sum 'K2 Na2 Nd2 Mg1 Nb2 O10'
_space_group_name_H-M_alt 'P 1'
_space_group_IT_number 1
_cell_length_a 5.798
_cell_length_b 5.717
_cell_length_c 9.351
_cell_angle_alpha 90.00
_cell_angle_beta 90.00
_cell_angle_gamma 90.00
loop_
_space_group_symop_operation_xyz
'x,y,z'
loop_
_atom_site_label
_atom_site_type_symbol
_atom_site_fract_x
_atom_site_fract_y
_atom_site_fract_z
K1 K 0.250 0.750 0.005
K2 K 0.750 0.250 0.081
Na1 Na 0.250 0.250 0.756
Na2 Na 0.750 0.750 0.241
Nd1 Nd 0.250 0.750 0.516
Nd2 Nd 0.750 0.250 0.457
Mg1 Mg 0.750 0.250 0.749
Nb1 Nb 0.250 0.250 0.268
Nb2 Nb 0.750 0.750 0.743
O1 O 0.975 0.995 0.654
O2 O 0.525 0.505 0.654
O3 O 0.750 0.750 0.946
O4 O 0.482 0.015 0.332
O5 O 0.482 0.485 0.332
O6 O 0.250 0.250 0.069
O7 O 0.525 0.995 0.654
O8 O 0.975 0.505 0.654
O9 O 0.018 0.015 0.332
O10 O 0.018 0.485 0.332
# Symmetry: Pmm2 (25)
# Relative energy among the computed polymorphs: 20.2 meV per atom
# Crystal system: orthorhombic

***

[10]
# Na5Te2AuO28 | the Materials Project | PBE | relaxed
data_Na5Te2AuO28
_chemical_formula_sum 'Na5 Te2 Au1 O28'
_space_group_name_H-M_alt 'P 1'
_space_group_IT_number 1
_cell_length_a 4.977
_cell_length_b 8.850
_cell_length_c 13.838
_cell_angle_alpha 93.39
_cell_angle_beta 105.53
_cell_angle_gamma 72.42
loop_
_space_group_symop_operation_xyz
'x,y,z'
loop_
_atom_site_label
_atom_site_type_symbol
_atom_site_fract_x
_atom_site_fract_y
_atom_site_fract_z
Na1 Na 0.352 0.231 0.691
Na2 Na 0.648 0.769 0.309
Na3 Na 0.683 0.640 0.046
Na4 Na 0.317 0.360 0.954
Na5 Na 0.000 0.000 0.500
Te1 Te 0.201 0.225 0.203
Te2 Te 0.799 0.775 0.797
Au1 Au 0.000 0.000 0.000
O1 O 0.445 0.163 0.357
O2 O 0.555 0.837 0.643
O3 O 0.529 0.011 0.393
O4 O 0.471 0.989 0.607
O5 O 0.819 0.222 0.238
O6 O 0.181 0.778 0.762
O7 O 0.276 0.951 0.148
O8 O 0.724 0.049 0.852
O9 O 0.123 0.821 0.357
O10 O 0.877 0.179 0.643
O11 O 0.561 0.243 0.154
O12 O 0.439 0.757 0.846
O13 O 0.322 0.690 0.381
O14 O 0.678 0.310 0.619
O15 O 0.034 0.291 0.470
O16 O 0.966 0.709 0.530
O17 O 0.199 0.631 0.020
O18 O 0.801 0.369 0.980
O19 O 0.191 0.597 0.559
O20 O 0.809 0.403 0.441
O21 O 0.098 0.472 0.221
O22 O 0.902 0.528 0.779
O23 O 0.446 0.130 0.855
O24 O 0.554 0.870 0.145
O25 O 0.028 0.241 0.028
O26 O 0.972 0.759 0.972
O27 O 0.183 0.450 0.779
O28 O 0.817 0.550 0.221
# Symmetry: P-1 (2)
# Crystal system: triclinic

***

[11]
# Be2GeO4 | the Materials Project | PBE | relaxed
data_Be2GeO4
_chemical_formula_sum 'Be12 Ge6 O24'
_space_group_name_H-M_alt 'P 1'
_space_group_IT_number 1
_cell_length_a 7.958
_cell_length_b 7.958
_cell_length_c 7.958
_cell_angle_alpha 107.99
_cell_angle_beta 107.99
_cell_angle_gamma 107.99
loop_
_space_group_symop_operation_xyz
'x,y,z'
loop_
_atom_site_label
_atom_site_type_symbol
_atom_site_fract_x
_atom_site_fract_y
_atom_site_fract_z
Be1 Be 0.293 0.890 0.071
Be2 Be 0.929 0.707 0.110
Be3 Be 0.395 0.628 0.222
Be4 Be 0.110 0.929 0.707
Be5 Be 0.778 0.605 0.372
Be6 Be 0.372 0.778 0.605
Be7 Be 0.628 0.222 0.395
Be8 Be 0.222 0.395 0.628
Be9 Be 0.890 0.071 0.293
Be10 Be 0.605 0.372 0.778
Be11 Be 0.071 0.293 0.890
Be12 Be 0.707 0.110 0.929
Ge1 Ge 0.732 0.963 0.555
Ge2 Ge 0.445 0.268 0.037
Ge3 Ge 0.037 0.445 0.268
Ge4 Ge 0.963 0.555 0.732
Ge5 Ge 0.555 0.732 0.963
Ge6 Ge 0.268 0.037 0.445
O1 O 0.806 0.837 0.136
O2 O 0.409 0.751 0.089
O3 O 0.163 0.864 0.194
O4 O 0.249 0.911 0.591
O5 O 0.481 0.788 0.457
O6 O 0.169 0.455 0.124
O7 O 0.876 0.831 0.545
O8 O 0.911 0.591 0.249
O9 O 0.543 0.519 0.212
O10 O 0.212 0.543 0.519
O11 O 0.864 0.194 0.163
O12 O 0.545 0.876 0.831
O13 O 0.455 0.124 0.169
O14 O 0.136 0.806 0.837
O15 O 0.788 0.457 0.481
O16 O 0.457 0.481 0.788
O17 O 0.089 0.409 0.751
O18 O 0.124 0.169 0.455
O19 O 0.831 0.545 0.876
O20 O 0.519 0.212 0.543
O21 O 0.751 0.089 0.409
O22 O 0.837 0.136 0.806
O23 O 0.591 0.249 0.911
O24 O 0.194 0.163 0.864
# Symmetry: R-3 (148)
# Crystal system: trigonal

***

[12]
# Mg6WC | the Materials Project | PBE | relaxed
data_Mg6WC
_chemical_formula_sum 'Mg12 W2 C2'
_space_group_name_H-M_alt 'P 1'
_space_group_IT_number 1
_cell_length_a 4.174
_cell_length_b 6.846
_cell_length_c 11.432
_cell_angle_alpha 90.00
_cell_angle_beta 90.00
_cell_angle_gamma 90.00
loop_
_space_group_symop_operation_xyz
'x,y,z'
loop_
_atom_site_label
_atom_site_type_symbol
_atom_site_fract_x
_atom_site_fract_y
_atom_site_fract_z
Mg1 Mg 0.000 0.286 0.085
Mg2 Mg 0.000 0.714 0.085
Mg3 Mg 0.000 0.500 0.824
Mg4 Mg 0.500 0.242 0.897
Mg5 Mg 0.500 0.758 0.897
Mg6 Mg 0.500 0.500 0.648
Mg7 Mg 0.000 0.786 0.585
Mg8 Mg 0.000 0.214 0.585
Mg9 Mg 0.000 0.000 0.324
Mg10 Mg 0.500 0.742 0.397
Mg11 Mg 0.500 0.258 0.397
Mg12 Mg 0.500 0.000 0.148
W1 W 0.000 0.500 0.296
W2 W 0.000 0.000 0.796
C1 C 0.500 0.500 0.267
C2 C 0.500 0.000 0.767
# Relative energy among the computed polymorphs: 0.0 meV per atom

***

In the order shown, the computed total energy values come out to -7.9059, -4.6809, -6.6410, -3.6117, -10.3994, -6.8320, -3.0453, -1.8349, -6.8157, -4.5927, -6.8590, -3.4221 eV per atom.